Entry 1:
The following is a PBE-GGA calculation of a relaxed Sm3Ge13Ru4 crystal, from the Materials Project.

Cell: 9.0993 9.0993 9.0993 Å, 90.00 90.00 90.00°
Last column: nearest neighbours and their distance in Å.
Fractional coordinates of all 40 atoms:
Sm 0.0000 0.2500 0.5000  4 Ru 3.22, 12 Ge 3.22-3.25
Sm 0.0000 0.7500 0.5000  4 Ru 3.22, 12 Ge 3.22-3.25
Sm 0.2500 0.5000 0.0000  4 Ru 3.22, 12 Ge 3.22-3.25
Sm 0.5000 0.0000 0.2500  4 Ru 3.22, 12 Ge 3.22-3.25
Sm 0.5000 0.0000 0.7500  4 Ru 3.22, 12 Ge 3.22-3.25
Sm 0.7500 0.5000 0.0000  4 Ru 3.22, 12 Ge 3.22-3.25
Ge 0.0000 0.0000 0.0000  12 Ge 3.00
Ge 0.0000 0.2964 0.1455  2 Ru 2.50, 1 Ge 2.65
Ge 0.0000 0.2964 0.8545  2 Ru 2.50, 1 Ge 2.65
Ge 0.0000 0.7036 0.1455  2 Ru 2.50, 1 Ge 2.65
Ge 0.0000 0.7036 0.8545  2 Ru 2.50, 1 Ge 2.65
Ge 0.1455 0.0000 0.2964  2 Ru 2.50, 1 Ge 2.65
Ge 0.1455 0.0000 0.7036  2 Ru 2.50, 1 Ge 2.65
Ge 0.2036 0.5000 0.3545  2 Ru 2.50, 1 Ge 2.65
Ge 0.2036 0.5000 0.6455  2 Ru 2.50, 1 Ge 2.65
Ge 0.2964 0.1455 0.0000  2 Ru 2.50, 1 Ge 2.65
Ge 0.2964 0.8545 0.0000  2 Ru 2.50, 1 Ge 2.65
Ge 0.3545 0.2036 0.5000  2 Ru 2.50, 1 Ge 2.65
Ge 0.3545 0.7964 0.5000  2 Ru 2.50, 1 Ge 2.65
Ge 0.5000 0.3545 0.2036  2 Ru 2.50, 1 Ge 2.65
Ge 0.5000 0.3545 0.7964  2 Ru 2.50, 1 Ge 2.65
Ge 0.5000 0.5000 0.5000  12 Ge 3.00
Ge 0.5000 0.6455 0.2036  2 Ru 2.50, 1 Ge 2.65
Ge 0.5000 0.6455 0.7964  2 Ru 2.50, 1 Ge 2.65
Ge 0.6455 0.2036 0.5000  2 Ru 2.50, 1 Ge 2.65
Ge 0.6455 0.7964 0.5000  2 Ru 2.50, 1 Ge 2.65
Ge 0.7036 0.1455 0.0000  2 Ru 2.50, 1 Ge 2.65
Ge 0.7036 0.8545 0.0000  2 Ru 2.50, 1 Ge 2.65
Ge 0.7964 0.5000 0.3545  2 Ru 2.50, 1 Ge 2.65
Ge 0.7964 0.5000 0.6455  2 Ru 2.50, 1 Ge 2.65
Ge 0.8545 0.0000 0.2964  2 Ru 2.50, 1 Ge 2.65
Ge 0.8545 0.0000 0.7036  2 Ru 2.50, 1 Ge 2.65
Ru 0.2500 0.2500 0.2500  6 Ge 2.50
Ru 0.2500 0.2500 0.7500  6 Ge 2.50
Ru 0.2500 0.7500 0.2500  6 Ge 2.50
Ru 0.2500 0.7500 0.7500  6 Ge 2.50
Ru 0.7500 0.2500 0.2500  6 Ge 2.50
Ru 0.7500 0.2500 0.7500  6 Ge 2.50
Ru 0.7500 0.7500 0.2500  6 Ge 2.50
Ru 0.7500 0.7500 0.7500  6 Ge 2.50

The value obtained for the formation enthalpy at 0 K is -0.4452 eV per atom. As for the total energy: -6.013 eV/atom.

---

Entry 2:
The following is a PBE-GGA calculation of a relaxed Sb2N3Cl7O crystal, from the Materials Project.

Cell: 11.2653 13.1760 10.6995 Å, 90.00 90.00 90.00°
Last column: nearest neighbours and their distance in Å.
Fractional coordinates of all 52 atoms:
Sb 0.2142 0.0766 0.1599  1 O 1.97
Sb 0.2142 0.0766 0.8401  1 O 1.97
Sb 0.2858 0.5766 0.3401  1 O 1.97
Sb 0.2858 0.5766 0.6599  1 O 1.97
Sb 0.7142 0.4234 0.3401  1 O 1.97
Sb 0.7142 0.4234 0.6599  1 O 1.97
Sb 0.7858 0.9234 0.1599  1 O 1.97
Sb 0.7858 0.9234 0.8401  1 O 1.97
N 0.0000 0.5000 0.0000  4 Cl 3.22
N 0.0000 0.5000 0.5000  2 O 2.69
N 0.1045 0.9053 0.5000  7 Cl 3.39-3.66, 1 N 3.43
N 0.2125 0.7715 0.0000  1 Cl 1.62
N 0.2875 0.2715 0.5000  1 Cl 1.62
N 0.3955 0.4053 0.0000  7 Cl 3.39-3.66, 1 N 3.43
N 0.5000 0.0000 0.0000  2 O 2.69
N 0.5000 0.0000 0.5000  4 Cl 3.22
N 0.6045 0.5947 0.0000  7 Cl 3.39-3.66, 1 N 3.43
N 0.7125 0.7285 0.5000  1 Cl 1.62
N 0.7875 0.2285 0.0000  1 Cl 1.62
N 0.8955 0.0947 0.5000  7 Cl 3.39-3.66, 1 N 3.43
Cl 0.0000 0.0000 0.1978  2 Sb 2.65
Cl 0.0000 0.0000 0.8022  2 Sb 2.65
Cl 0.1116 0.2091 0.0000  2 Sb 2.70
Cl 0.1390 0.7020 0.3030  1 Sb 2.37
Cl 0.1390 0.7020 0.6970  1 Sb 2.37
Cl 0.1695 0.2014 0.5000  1 N 1.62
Cl 0.1853 0.4510 0.2211  1 Sb 2.38
Cl 0.1853 0.4510 0.7789  1 Sb 2.38
Cl 0.3147 0.9510 0.2789  1 Sb 2.38
Cl 0.3147 0.9510 0.7211  1 Sb 2.38
Cl 0.3305 0.7014 0.0000  1 N 1.62
Cl 0.3610 0.2020 0.1970  1 Sb 2.37
Cl 0.3610 0.2020 0.8030  1 Sb 2.37
Cl 0.3884 0.7091 0.5000  2 Sb 2.70
Cl 0.5000 0.5000 0.3022  2 Sb 2.65
Cl 0.5000 0.5000 0.6978  2 Sb 2.65
Cl 0.6116 0.2909 0.5000  2 Sb 2.70
Cl 0.6390 0.7980 0.1970  1 Sb 2.37
Cl 0.6390 0.7980 0.8030  1 Sb 2.37
Cl 0.6695 0.2986 0.0000  1 N 1.62
Cl 0.6853 0.0490 0.2789  1 Sb 2.38
Cl 0.6853 0.0490 0.7211  1 Sb 2.38
Cl 0.8147 0.5490 0.2211  1 Sb 2.38
Cl 0.8147 0.5490 0.7789  1 Sb 2.38
Cl 0.8305 0.7986 0.5000  1 N 1.62
Cl 0.8610 0.2980 0.3030  1 Sb 2.37
Cl 0.8610 0.2980 0.6970  1 Sb 2.37
Cl 0.8884 0.7909 0.0000  2 Sb 2.70
O 0.2380 0.5141 0.5000  2 Sb 1.97
O 0.2620 0.0141 0.0000  2 Sb 1.97
O 0.7380 0.9859 0.0000  2 Sb 1.97
O 0.7620 0.4859 0.5000  2 Sb 1.97

The value obtained for the formation enthalpy at 0 K is 0.5384 eV per atom. The calculation puts the total energy after the MP2020 corrections at -3.3966 eV per atom. As for the total energy: -3.344 eV/atom.

---

Entry 3:
The following is a PBE-GGA calculation of a relaxed Na7MgSi3Sn3P3O24 crystal, from the Materials Project.

Cell: 9.0325 9.0327 22.4259 Å, 89.69 89.76 60.02°
Last column: nearest neighbours and their distance in Å.
Fractional coordinates of all 123 atoms:
Na 0.0000 0.0000 0.0000  7 O 2.49-2.76
Na 0.0006 0.6380 0.4975  6 O 2.39-2.67
Na 0.2815 0.3549 0.9973  5 O 2.42-2.70
Na 0.2945 0.2995 0.6661  5 O 2.41-2.68
Na 0.2980 0.6740 0.4171  6 O 2.41-2.68
Na 0.3057 0.0265 0.1628  5 O 2.35-2.62
Na 0.3087 0.6634 0.9162  6 O 2.49-2.60
Na 0.3404 0.3259 0.3344  5 O 2.42-2.61
Na 0.3433 0.9667 0.8330  6 O 2.44-2.66
Na 0.6077 0.3225 0.8332  6 O 2.46-2.71
Na 0.6096 0.7042 0.3319  5 O 2.38-2.63
Na 0.6335 0.6366 0.9981  6 O 2.49-2.71
Na 0.6377 0.9977 0.7476  6 O 2.52-2.62
Na 0.6393 0.3576 0.5007  5 O 2.40-2.61
Na 0.6518 0.9887 0.2470  6 O 2.43-2.69
Na 0.6796 0.6547 0.6665  5 O 2.41-2.67
Na 0.9395 0.0392 0.6650  6 O 2.43-2.70
Na 0.9610 0.3342 0.0838  6 O 2.42-2.65
Na 0.9617 0.9613 0.3343  6 O 2.42-2.67
Na 0.9644 0.7005 0.8308  6 O 2.43-2.65
Na 0.9772 0.3222 0.5872  5 O 2.43-2.65
Mg 0.6345 0.0009 0.8994  6 O 1.97-2.20
Mg 0.6449 0.9915 0.3981  6 O 1.97-2.20
Mg 0.9705 0.3309 0.7268  6 O 2.03-2.08
Si 0.0054 0.9601 0.1650  4 O 1.62-1.65
Si 0.0104 0.6624 0.6643  4 O 1.60-1.67
Si 0.3042 0.9609 0.6649  4 O 1.60-1.67
Si 0.3474 0.9969 0.9965  4 O 1.60-1.67
Si 0.5986 0.3707 0.6638  4 O 1.60-1.66
Si 0.6016 0.6634 0.1647  4 O 1.62-1.66
Si 0.6356 0.2902 0.9958  4 O 1.60-1.67
Si 0.9347 0.9963 0.4955  4 O 1.60-1.67
Si 0.9706 0.6245 0.3310  4 O 1.61-1.68
Sn 0.3003 0.6661 0.2637  6 O 1.98-2.17
Sn 0.3012 0.6719 0.5640  5 O 1.97-2.15
Sn 0.3048 0.6649 0.7627  6 O 1.99-2.19
Sn 0.3081 0.6656 0.0650  6 O 1.99-2.18
Sn 0.6395 0.9991 0.5992  6 O 2.02-2.11
Sn 0.6425 0.9971 0.1005  6 O 2.01-2.15
Sn 0.9637 0.3363 0.2268  6 O 1.98-2.13
Sn 0.9717 0.3275 0.9316  6 O 2.05-2.15
Sn 0.9771 0.3264 0.4337  6 O 2.01-2.15
P 0.2641 0.0386 0.3302  4 O 1.53-1.57
P 0.2643 0.3309 0.8296  4 O 1.51-1.59
P 0.3055 0.3702 0.1648  4 O 1.54-1.55
P 0.3463 0.2884 0.4963  4 O 1.53-1.57
P 0.6350 0.7065 0.4960  4 O 1.52-1.58
P 0.6777 0.3309 0.3315  4 O 1.53-1.57
P 0.6788 0.6246 0.8297  4 O 1.51-1.59
P 0.9298 0.7056 0.9963  4 O 1.53-1.57
P 0.9710 0.0360 0.8296  4 O 1.51-1.59
O 0.0071 0.1415 0.1708  1 Si 1.65
O 0.0100 0.1104 0.8877  1 P 1.59
O 0.0160 0.5001 0.3910  1 Si 1.66
O 0.0860 0.7113 0.7241  1 Si 1.67
O 0.0881 0.8460 0.2257  1 Si 1.64
O 0.1121 0.6827 0.0046  1 P 1.57
O 0.1221 0.8196 0.5019  1 Si 1.65
O 0.1282 0.8781 0.1059  1 Si 1.65
O 0.1322 0.6232 0.6054  1 Si 1.64
O 0.1382 0.1457 0.6713  1 Si 1.60
O 0.1394 0.8536 0.8274  1 P 1.59
O 0.1427 0.1170 0.3846  1 P 1.55
O 0.1472 0.3471 0.1703  1 P 1.55
O 0.1499 0.3700 0.8880  1 P 1.59
O 0.1508 0.6344 0.3267  1 Si 1.68
O 0.1542 0.1722 0.9922  1 Si 1.67
O 0.1607 0.3170 0.4936  1 P 1.56
O 0.1767 0.3054 0.7764  1 P 1.51
O 0.1834 0.1509 0.2739  1 P 1.55
O 0.2638 0.8750 0.6085  1 Si 1.62
O 0.2723 0.4819 0.1084  1 P 1.55
O 0.2791 0.4990 0.8275  1 P 1.59
O 0.2818 0.8570 0.3265  1 P 1.57
O 0.3183 0.8298 0.0026  1 Si 1.66
O 0.3305 0.4693 0.5019  1 P 1.57
O 0.3365 0.4482 0.2217  1 P 1.55
O 0.3539 0.8376 0.7255  1 Si 1.67
O 0.4222 0.1818 0.5542  1 P 1.55
O 0.4239 0.0382 0.0570  1 Si 1.65
O 0.4402 0.0229 0.3373  1 P 1.53
O 0.4433 0.1726 0.8362  1 P 1.54
O 0.4560 0.2077 0.4410  1 P 1.53
O 0.4617 0.4813 0.0039  1 Si 1.66
O 0.4639 0.1903 0.1601  1 P 1.54
O 0.4644 0.9562 0.9384  1 Si 1.60
O 0.4755 0.4471 0.7240  1 Si 1.66
O 0.4795 0.7029 0.2247  1 Si 1.66
O 0.4814 0.6747 0.5021  1 P 1.56
O 0.4808 0.9704 0.6579  1 Si 1.65
O 0.4964 0.6388 0.8279  1 P 1.59
O 0.4990 0.4983 0.3251  1 P 1.57
O 0.5143 0.4910 0.6044  1 Si 1.64
O 0.5193 0.6300 0.1052  1 Si 1.63
O 0.6000 0.2146 0.9367  1 Si 1.60
O 0.6037 0.8437 0.1595  1 Si 1.64
O 0.6074 0.1846 0.6595  1 Si 1.65
O 0.6079 0.8137 0.4404  1 P 1.52
O 0.6528 0.1759 0.3377  1 P 1.53
O 0.6594 0.8033 0.8367  1 P 1.54
O 0.6711 0.7814 0.5532  1 P 1.56
O 0.6835 0.1648 0.0541  1 Si 1.64
O 0.7536 0.3711 0.3877  1 P 1.56
O 0.7551 0.5114 0.8882  1 P 1.59
O 0.7836 0.3522 0.6700  1 Si 1.60
O 0.7884 0.4934 0.1683  1 Si 1.62
O 0.7912 0.5377 0.7762  1 P 1.51
O 0.7977 0.2928 0.2776  1 P 1.54
O 0.8018 0.5243 0.4925  1 P 1.58
O 0.8023 0.8115 0.3351  1 Si 1.61
O 0.8059 0.3168 0.9921  1 Si 1.67
O 0.8142 0.0128 0.8373  1 P 1.54
O 0.8138 0.0389 0.5561  1 Si 1.66
O 0.8150 0.7800 0.0519  1 P 1.54
O 0.8188 0.9776 0.1603  1 Si 1.62
O 0.8228 0.8378 0.6588  1 Si 1.65
O 0.8522 0.9617 0.4379  1 Si 1.60
O 0.8562 0.8151 0.9402  1 P 1.53
O 0.9368 0.5305 0.2755  1 Si 1.63
O 0.9432 0.1503 0.7762  1 P 1.51
O 0.9429 0.1765 0.4923  1 Si 1.67
O 0.9509 0.5227 0.9911  1 P 1.57
O 0.9914 0.4963 0.6707  1 Si 1.60

The value obtained for the formation enthalpy at 0 K is -2.6112 eV per atom. The calculation puts the total energy after the MP2020 corrections at -6.8588 eV per atom. As for the total energy: -6.457 eV/atom.

---

Entry 4:
The following is a PBE-GGA calculation of a relaxed Ba4Nd5Cu9O22 crystal, from the Materials Project.

Cell: 11.7124 3.9084 12.3154 Å, 90.00 108.50 90.00°
Last column: nearest neighbours and their distance in Å.
Fractional coordinates of all 40 atoms:
Ba 0.1036 0.0000 0.3181  10 O 2.76-2.98
Ba 0.2259 0.0000 0.6839  10 O 2.75-2.99
Ba 0.7741 0.0000 0.3161  10 O 2.75-2.99
Ba 0.8964 0.0000 0.6819  10 O 2.76-2.98
Nd 0.0000 0.0000 0.0000  8 O 2.45-2.51
Nd 0.3360 0.0000 0.0060  8 O 2.44-2.54
Nd 0.4491 0.0000 0.3470  8 O 2.56-2.66
Nd 0.5509 0.0000 0.6530  8 O 2.56-2.66
Nd 0.6640 0.0000 0.9940  8 O 2.44-2.54
Cu 0.0000 0.5000 0.5000  4 O 1.87-1.95
Cu 0.1179 0.5000 0.8518  4 O 1.97
Cu 0.2198 0.5000 0.1551  5 O 1.95-2.12
Cu 0.3354 0.5000 0.5001  5 O 1.92-1.96
Cu 0.4494 0.5000 0.8460  5 O 1.95-2.13
Cu 0.5506 0.5000 0.1540  5 O 1.95-2.13
Cu 0.6646 0.5000 0.4999  5 O 1.92-1.96
Cu 0.7802 0.5000 0.8449  5 O 1.95-2.12
Cu 0.8821 0.5000 0.1482  4 O 1.97
O 0.0000 0.0000 0.5000  2 Cu 1.95
O 0.0440 0.5000 0.1311  2 Cu 1.97-1.99
O 0.0542 0.5000 0.6605  1 Cu 1.87
O 0.1252 0.0000 0.8737  2 Cu 1.97
O 0.2126 0.0000 0.1335  2 Cu 1.97
O 0.2920 0.5000 0.3362  2 Cu 1.92-2.12
O 0.2923 0.5000 0.8744  2 Cu 1.97-1.98
O 0.3427 0.0000 0.5001  2 Cu 1.96
O 0.3798 0.5000 0.1381  2 Cu 1.95
O 0.4010 0.5000 0.6642  2 Cu 1.92-2.13
O 0.4565 0.0000 0.8671  2 Cu 1.97
O 0.5000 0.5000 0.5000  2 Cu 1.93
O 0.5435 0.0000 0.1329  2 Cu 1.97
O 0.5990 0.5000 0.3358  2 Cu 1.92-2.13
O 0.6202 0.5000 0.8619  2 Cu 1.95
O 0.6573 0.0000 0.4999  2 Cu 1.96
O 0.7077 0.5000 0.1256  2 Cu 1.97-1.98
O 0.7080 0.5000 0.6638  2 Cu 1.92-2.12
O 0.7874 0.0000 0.8665  2 Cu 1.97
O 0.8748 0.0000 0.1263  2 Cu 1.97
O 0.9458 0.5000 0.3395  1 Cu 1.87
O 0.9560 0.5000 0.8689  2 Cu 1.97-1.99

The value obtained for the formation enthalpy at 0 K is -2.2216 eV per atom. The calculation puts the total energy after the MP2020 corrections at -6.6532 eV per atom. As for the total energy: -6.275 eV/atom.

---

Entry 5:
The following is a PBE-GGA calculation of a relaxed Tm2Se3O20 crystal, from the Materials Project.

Cell: 7.2388 7.2388 19.1903 Å, 98.79 98.79 56.47°
Last column: nearest neighbours and their distance in Å.
Fractional coordinates of all 50 atoms:
Tm 0.1446 0.1762 0.3962  7 O 2.24-2.39
Tm 0.1762 0.1446 0.8962  7 O 2.24-2.39
Tm 0.8238 0.8554 0.1038  7 O 2.24-2.39
Tm 0.8554 0.8238 0.6038  7 O 2.24-2.39
Se 0.1787 0.2330 0.0865  4 O 1.67
Se 0.2330 0.1787 0.5865  4 O 1.67
Se 0.2917 0.7083 0.7500  4 O 1.67-1.71
Se 0.7083 0.2917 0.2500  4 O 1.67-1.71
Se 0.7670 0.8213 0.4135  4 O 1.67
Se 0.8213 0.7670 0.9135  4 O 1.67
O 0.0515 0.7515 0.7097  1 Se 1.67
O 0.0658 0.2129 0.0051  1 Se 1.67
O 0.0827 0.4544 0.5821  1 Se 1.67
O 0.0940 0.1523 0.1453  1 Se 1.67
O 0.1079 0.4935 0.1137  1 Se 1.67
O 0.1523 0.0940 0.6453  1 Se 1.67
O 0.1667 0.8216 0.1465  1 O 2.15, 1 Tm 2.38
O 0.1784 0.8333 0.3535  1 O 2.15, 1 Tm 2.38
O 0.2063 0.7319 0.5725  1 Tm 2.39, 3 O 2.60-2.65
O 0.2129 0.0658 0.5051  1 Se 1.67
O 0.2485 0.9485 0.7903  1 Se 1.67
O 0.2636 0.3356 0.8194  2 O 2.08-2.17
O 0.2681 0.7937 0.9275  1 Tm 2.39, 3 O 2.60-2.65
O 0.3153 0.3631 0.4320  2 O 2.17-2.40, 1 Tm 2.27
O 0.3356 0.2636 0.3194  2 O 2.08-2.17
O 0.3631 0.3153 0.9320  2 O 2.17-2.40, 1 Tm 2.27
O 0.3951 0.5246 0.8133  1 Se 1.71
O 0.4544 0.0827 0.0821  1 Se 1.67
O 0.4754 0.6049 0.6867  1 Se 1.71
O 0.4935 0.1079 0.6137  1 Se 1.67
O 0.5065 0.8921 0.3863  1 Se 1.67
O 0.5246 0.3951 0.3133  1 Se 1.71
O 0.5456 0.9173 0.9179  1 Se 1.67
O 0.6049 0.4754 0.1867  1 Se 1.71
O 0.6369 0.6847 0.0680  2 O 2.17-2.40, 1 Tm 2.27
O 0.6644 0.7364 0.6806  2 O 2.08-2.17
O 0.6847 0.6369 0.5680  2 O 2.17-2.40, 1 Tm 2.27
O 0.7319 0.2063 0.0725  1 Tm 2.39, 3 O 2.60-2.65
O 0.7364 0.6644 0.1806  2 O 2.08-2.17
O 0.7515 0.0515 0.2097  1 Se 1.67
O 0.7871 0.9342 0.4949  1 Se 1.67
O 0.7937 0.2681 0.4275  1 Tm 2.39, 3 O 2.60-2.65
O 0.8216 0.1667 0.6465  1 O 2.15, 1 Tm 2.38
O 0.8333 0.1784 0.8535  1 O 2.15, 1 Tm 2.38
O 0.8477 0.9060 0.3547  1 Se 1.67
O 0.8921 0.5065 0.8863  1 Se 1.67
O 0.9060 0.8477 0.8547  1 Se 1.67
O 0.9173 0.5456 0.4179  1 Se 1.67
O 0.9342 0.7871 0.9949  1 Se 1.67
O 0.9485 0.2485 0.2903  1 Se 1.67

The value obtained for the formation enthalpy at 0 K is -0.7740 eV per atom. The calculation puts the total energy after the MP2020 corrections at -5.5099 eV per atom. As for the total energy: -4.960 eV/atom.

---

Question: Which of these has the lowest total energy?
Answer: Na7MgSi3Sn3P3O24